1.
The following is a DFT calculation (GGA+U) of a geometry-optimized Mn5CrO8 structure.

Cell and atoms, written as CIF:
```
data_Mn5CrO8
_chemical_formula_sum 'Mn5 Cr1 O8'
_cell_length_a 6.2315
_cell_length_b 6.2315
_cell_length_c 5.9851
_cell_angle_alpha 118.44
_cell_angle_beta 118.44
_cell_angle_gamma 57.12
_space_group_name_H-M_alt 'P 1'
_space_group_IT_number 1
_space_group_name_Hall 'P 1'
loop_
_atom_site_label
_atom_site_type_symbol
_atom_site_fract_x
_atom_site_fract_y
_atom_site_fract_z
Mn1 Mn 0.0000 0.0000 0.0000
Mn2 Mn 0.0000 0.5000 0.5000
Mn3 Mn 0.3719 0.3719 0.1184
Mn4 Mn 0.5000 0.0000 0.5000
Mn5 Mn 0.6281 0.6281 0.8816
Cr1 Cr 0.0000 0.0000 0.5000
O1 O 0.2171 0.7704 0.7510
O2 O 0.2231 0.2231 0.7023
O3 O 0.2296 0.7829 0.2490
O4 O 0.2495 0.2495 0.2857
O5 O 0.7505 0.7505 0.7143
O6 O 0.7704 0.2171 0.7510
O7 O 0.7769 0.7769 0.2977
O8 O 0.7829 0.2296 0.2490
```

Computed properties:
formation enthalpy at 0 K: -2107.7 meV per atom
space-group type: C2/m
theoretical density: 4.604 g cm⁻³
total energy after the MP2020 corrections: -124.55 eV/f.u.


2.
The following is a DFT calculation (GGA+U) of a geometry-optimized V4O9 structure.

Cell and atoms, written as CIF:
```
data_V4O9
_chemical_formula_sum 'V8 O18'
_cell_length_a 8.4929
_cell_length_b 8.4929
_cell_length_c 5.0214
_cell_angle_alpha 90.00
_cell_angle_beta 90.00
_cell_angle_gamma 90.00
_space_group_name_H-M_alt 'P 1'
_space_group_IT_number 1
_space_group_name_Hall 'P 1'
loop_
_atom_site_label
_atom_site_type_symbol
_atom_site_fract_x
_atom_site_fract_y
_atom_site_fract_z
V1 V 0.0318 0.6568 0.1163
V2 V 0.1568 0.9682 0.8837
V3 V 0.3432 0.5318 0.8837
V4 V 0.4682 0.8432 0.1163
V5 V 0.5318 0.1568 0.8837
V6 V 0.6568 0.4682 0.1163
V7 V 0.8432 0.0318 0.1163
V8 V 0.9682 0.3432 0.8837
O1 O 0.0142 0.6698 0.4339
O2 O 0.0371 0.1437 0.0133
O3 O 0.1437 0.4629 0.0133
O4 O 0.1698 0.9858 0.5661
O5 O 0.2500 0.7500 0.0000
O6 O 0.3302 0.5142 0.5661
O7 O 0.3563 0.0371 0.0133
O8 O 0.4629 0.3563 0.0133
O9 O 0.4858 0.8302 0.4339
O10 O 0.5142 0.1698 0.5661
O11 O 0.5371 0.6437 0.9867
O12 O 0.6437 0.9629 0.9867
O13 O 0.6698 0.4858 0.4339
O14 O 0.7500 0.2500 0.0000
O15 O 0.8302 0.0142 0.4339
O16 O 0.8563 0.5371 0.9867
O17 O 0.9629 0.8563 0.9867
O18 O 0.9858 0.3302 0.5661
```

Computed properties:
distance to the lowest polymorph of the same formula: 96 meV/atom
formation enthalpy at 0 K: -2256.1 meV per atom
total magnetization: 2.0 μB/f.u.
space-group type: P4/n
theoretical density: 3.189 g cm⁻³
total energy after the MP2020 corrections: -110.20 eV/f.u.


> Among the records above, which one has the lowest theoretical density?

V4O9